The following is a DFT calculation (PBE with a Hubbard U) of a geometry-optimized Li4Fe2Ni3Sb3O16 structure.

Cell and atoms, written as CIF:
```
data_Li4Fe2Ni3Sb3O16
_symmetry_space_group_name_H-M 'C 1 m 1'
_symmetry_Int_Tables_number 8
_cell_length_a 10.5572
_cell_length_b 6.0604
_cell_length_c 9.6829
_cell_angle_alpha 90.00
_cell_angle_beta 91.48
_cell_angle_gamma 90.00
loop_
_symmetry_equiv_pos_as_xyz
'x,y,z'
'x,-y,z'
'x+1/2,y+1/2,z'
'x+1/2,-y+1/2,z'
loop_
_atom_site_label
_atom_site_type_symbol
_atom_site_fract_x
_atom_site_fract_y
_atom_site_fract_z
_atom_site_occupancy
Li1 Li 0.0000 0.0000 0.0000 1
Li2 Li 0.0067 0.0000 0.5181 1
Li3 Li 0.1614 0.5000 0.1053 1
Li4 Li 0.3229 0.0000 0.6227 1
Fe1 Fe 0.1365 0.5000 0.5304 1
Fe2 Fe 0.3113 0.0000 0.9949 1
Ni1 Ni 0.0733 0.2553 0.7921 1
Ni2 Ni 0.1594 0.0000 0.2898 1
Sb1 Sb 0.3184 0.5000 0.7893 1
Sb2 Sb 0.4050 0.2476 0.2893 1
O1 O 0.0079 0.5000 0.6729 1
O2 O 0.0642 0.2472 0.4069 1
O3 O 0.1519 0.0000 0.9003 1
O4 O 0.1554 0.5000 0.8957 1
O5 O 0.2338 0.2794 0.6603 1
O6 O 0.2527 0.2263 0.1671 1
O7 O 0.3273 0.0000 0.4044 1
O8 O 0.3342 0.5000 0.4035 1
O9 O 0.4001 0.2593 0.9101 1
O10 O 0.4778 0.0000 0.1709 1
O11 O 0.4877 0.5000 0.1874 1
O12 O 0.4899 0.5000 0.7025 1
```

ΔE_f   -1793 meV per atom
Raw total energy   -5.734 eV/atom



The following is a DFT calculation (PBE with a Hubbard U) of a geometry-optimized Li4Fe3Ni3Sn2O16 structure.

Cell and atoms, written as CIF:
```
data_Li4Fe3Ni3Sn2O16
_symmetry_space_group_name_H-M 'P 1'
_symmetry_Int_Tables_number 1
_cell_length_a 5.8773
_cell_length_b 5.9329
_cell_length_c 9.6915
_cell_angle_alpha 90.56
_cell_angle_beta 90.15
_cell_angle_gamma 119.61
loop_
_symmetry_equiv_pos_as_xyz
'x,y,z'
loop_
_atom_site_label
_atom_site_type_symbol
_atom_site_fract_x
_atom_site_fract_y
_atom_site_fract_z
_atom_site_occupancy
Li1 Li 0.0000 0.0000 0.0000 1
Li2 Li 0.0010 0.0036 0.5028 1
Li3 Li 0.3354 0.6735 0.4030 1
Li4 Li 0.6650 0.3302 0.8999 1
Fe1 Fe 0.1705 0.3417 0.7221 1
Fe2 Fe 0.3404 0.1717 0.2214 1
Fe3 Fe 0.8311 0.1720 0.2215 1
Ni1 Ni 0.1686 0.8316 0.7213 1
Ni2 Ni 0.6610 0.8310 0.7213 1
Ni3 Ni 0.8299 0.6630 0.2217 1
Sn1 Sn 0.3338 0.6657 0.9976 1
Sn2 Sn 0.6690 0.3431 0.4992 1
O1 O 0.0044 0.0026 0.3146 1
O2 O 0.0304 0.5126 0.8473 1
O3 O 0.1624 0.3243 0.1076 1
O4 O 0.1657 0.8444 0.1054 1
O5 O 0.3256 0.1722 0.6080 1
O6 O 0.3374 0.6758 0.6189 1
O7 O 0.4787 0.5095 0.8472 1
O8 O 0.4829 0.9607 0.8409 1
O9 O 0.5168 0.4886 0.3478 1
O10 O 0.5177 0.0377 0.3487 1
O11 O 0.6629 0.3326 0.1139 1
O12 O 0.6831 0.8367 0.1062 1
O13 O 0.8437 0.6940 0.6094 1
O14 O 0.8475 0.1760 0.6063 1
O15 O 0.9671 0.4981 0.3465 1
O16 O 0.9963 0.9954 0.8114 1
```

ΔE_f   -1657 meV per atom
Raw total energy   -5.664 eV/atom



The following is a DFT calculation (PBE with a Hubbard U) of a geometry-optimized Li4Fe2Ni3Sn3O16 structure.

Cell and atoms, written as CIF:
```
data_Li4Fe2Ni3Sn3O16
_symmetry_space_group_name_H-M 'P 1'
_symmetry_Int_Tables_number 1
_cell_length_a 6.0212
_cell_length_b 6.0229
_cell_length_c 9.6160
_cell_angle_alpha 88.51
_cell_angle_beta 88.86
_cell_angle_gamma 60.64
loop_
_symmetry_equiv_pos_as_xyz
'x,y,z'
loop_
_atom_site_label
_atom_site_type_symbol
_atom_site_fract_x
_atom_site_fract_y
_atom_site_fract_z
_atom_site_occupancy
Li1 Li 0.0000 0.0000 0.0000 1
Li2 Li 0.0067 0.0077 0.5101 1
Li3 Li 0.3128 0.3045 0.6185 1
Li4 Li 0.6497 0.6448 0.1046 1
Fe1 Fe 0.3127 0.3219 0.0061 1
Fe2 Fe 0.6459 0.6403 0.5143 1
Ni1 Ni 0.1536 0.1537 0.2843 1
Ni2 Ni 0.3252 0.8107 0.7872 1
Ni3 Ni 0.8154 0.3257 0.7887 1
Sn1 Sn 0.1533 0.6439 0.2912 1
Sn2 Sn 0.6447 0.1514 0.2901 1
Sn3 Sn 0.8137 0.8184 0.7888 1
O1 O 0.0204 0.4573 0.1617 1
O2 O 0.1411 0.1687 0.8945 1
O3 O 0.1551 0.6675 0.9033 1
O4 O 0.3160 0.8240 0.4035 1
O5 O 0.3179 0.3142 0.4102 1
O6 O 0.4541 0.0212 0.1602 1
O7 O 0.4660 0.4671 0.1551 1
O8 O 0.4906 0.9380 0.6642 1
O9 O 0.5179 0.4851 0.6706 1
O10 O 0.6552 0.6262 0.8956 1
O11 O 0.6644 0.1563 0.9049 1
O12 O 0.8236 0.8212 0.4189 1
O13 O 0.8296 0.3136 0.4005 1
O14 O 0.9431 0.4903 0.6651 1
O15 O 0.9818 0.0116 0.6949 1
O16 O 0.9826 0.9824 0.1846 1
```

ΔE_f   -1685 meV per atom
Raw total energy   -5.613 eV/atom



The following is a DFT calculation (PBE with a Hubbard U) of a geometry-optimized Li4Ti3Fe2Ni3O16 structure.

Cell and atoms, written as CIF:
```
data_Li4Ti3Fe2Ni3O16
_symmetry_space_group_name_H-M 'C 1 m 1'
_symmetry_Int_Tables_number 8
_cell_length_a 10.2281
_cell_length_b 5.7886
_cell_length_c 9.5477
_cell_angle_alpha 90.00
_cell_angle_beta 93.08
_cell_angle_gamma 90.00
loop_
_symmetry_equiv_pos_as_xyz
'x,y,z'
'x,-y,z'
'x+1/2,y+1/2,z'
'x+1/2,-y+1/2,z'
loop_
_atom_site_label
_atom_site_type_symbol
_atom_site_fract_x
_atom_site_fract_y
_atom_site_fract_z
_atom_site_occupancy
Li1 Li 0.0000 0.0000 0.0000 1
Li2 Li 0.0089 0.0000 0.5040 1
Li3 Li 0.1521 0.5000 0.0967 1
Li4 Li 0.3234 0.0000 0.5998 1
Ti1 Ti 0.3248 0.5000 0.7856 1
Ti2 Ti 0.4031 0.2487 0.2782 1
Fe1 Fe 0.1583 0.5000 0.5121 1
Fe2 Fe 0.3231 0.0000 0.0008 1
Ni1 Ni 0.0757 0.2530 0.7816 1
Ni2 Ni 0.1654 0.0000 0.2875 1
O1 O 0.0086 0.5000 0.6644 1
O2 O 0.0761 0.2566 0.4012 1
O3 O 0.1501 0.0000 0.8923 1
O4 O 0.1557 0.5000 0.8835 1
O5 O 0.2345 0.2843 0.6465 1
O6 O 0.2559 0.2298 0.1547 1
O7 O 0.3347 0.0000 0.3922 1
O8 O 0.3358 0.5000 0.3924 1
O9 O 0.3986 0.2586 0.8972 1
O10 O 0.4732 0.0000 0.1605 1
O11 O 0.4910 0.5000 0.6884 1
O12 O 0.4970 0.5000 0.1896 1
```

ΔE_f   -2157 meV per atom
Raw total energy   -6.502 eV/atom



The following is a DFT calculation (PBE with a Hubbard U) of a geometry-optimized Li4Ti2Fe3Ni3O16 structure.

Cell and atoms, written as CIF:
```
data_Li4Ti2Fe3Ni3O16
_symmetry_space_group_name_H-M 'C 1 m 1'
_symmetry_Int_Tables_number 8
_cell_length_a 10.2022
_cell_length_b 5.8084
_cell_length_c 9.5114
_cell_angle_alpha 90.00
_cell_angle_beta 91.06
_cell_angle_gamma 90.00
loop_
_symmetry_equiv_pos_as_xyz
'x,y,z'
'x,-y,z'
'x+1/2,y+1/2,z'
'x+1/2,-y+1/2,z'
loop_
_atom_site_label
_atom_site_type_symbol
_atom_site_fract_x
_atom_site_fract_y
_atom_site_fract_z
_atom_site_occupancy
Li1 Li 0.0000 0.0000 0.0000 1
Li2 Li 0.0011 0.0000 0.5030 1
Li3 Li 0.1601 0.5000 0.0963 1
Li4 Li 0.3358 0.0000 0.6026 1
Ti1 Ti 0.1682 0.5000 0.4995 1
Ti2 Ti 0.3285 0.0000 0.0005 1
Fe1 Fe 0.3266 0.5000 0.7792 1
Fe2 Fe 0.4110 0.2454 0.2793 1
Ni1 Ni 0.0836 0.2533 0.7828 1
Ni2 Ni 0.1680 0.0000 0.2838 1
O1 O 0.0022 0.0000 0.6922 1
O2 O 0.0039 0.0000 0.1905 1
O3 O 0.0216 0.5000 0.6603 1
O4 O 0.0813 0.2500 0.4049 1
O5 O 0.1594 0.0000 0.8981 1
O6 O 0.1588 0.5000 0.8854 1
O7 O 0.2454 0.2819 0.6529 1
O8 O 0.2528 0.2180 0.1517 1
O9 O 0.3267 0.0000 0.3897 1
O10 O 0.3300 0.5000 0.3996 1
O11 O 0.4038 0.2542 0.9027 1
O12 O 0.4766 0.0000 0.1503 1
```

ΔE_f   -1769 meV per atom
Raw total energy   -6.053 eV/atom



The following is a DFT calculation (PBE with a Hubbard U) of a geometry-optimized Li4V2Fe3Ni3O16 structure.

Cell and atoms, written as CIF:
```
data_Li4V2Fe3Ni3O16
_symmetry_space_group_name_H-M 'C 1 m 1'
_symmetry_Int_Tables_number 8
_cell_length_a 10.1495
_cell_length_b 5.8560
_cell_length_c 9.4930
_cell_angle_alpha 90.00
_cell_angle_beta 92.48
_cell_angle_gamma 90.00
loop_
_symmetry_equiv_pos_as_xyz
'x,y,z'
'x,-y,z'
'x+1/2,y+1/2,z'
'x+1/2,-y+1/2,z'
loop_
_atom_site_label
_atom_site_type_symbol
_atom_site_fract_x
_atom_site_fract_y
_atom_site_fract_z
_atom_site_occupancy
Li1 Li 0.0000 0.0000 0.0000 1
Li2 Li 0.0061 0.0000 0.4963 1
Li3 Li 0.1691 0.5000 0.9105 1
Li4 Li 0.3320 0.0000 0.4043 1
V1 V 0.1527 0.5000 0.4959 1
V2 V 0.3278 0.0000 0.9988 1
Fe1 Fe 0.3326 0.5000 0.2252 1
Fe2 Fe 0.4133 0.2451 0.7228 1
Ni1 Ni 0.0874 0.2588 0.2192 1
Ni2 Ni 0.1738 0.0000 0.7207 1
O1 O 0.0041 0.0000 0.8097 1
O2 O 0.0139 0.0000 0.3060 1
O3 O 0.0206 0.5000 0.3594 1
O4 O 0.0897 0.2627 0.5951 1
O5 O 0.1619 0.5000 0.1166 1
O6 O 0.1825 0.0000 0.0911 1
O7 O 0.2388 0.2784 0.3467 1
O8 O 0.2695 0.2239 0.8630 1
O9 O 0.3328 0.5000 0.5941 1
O10 O 0.3355 0.0000 0.6107 1
O11 O 0.4225 0.2415 0.1015 1
O12 O 0.4871 0.0000 0.8467 1
```

ΔE_f   -1783 meV per atom
Raw total energy   -6.030 eV/atom